Entry 1:
GeBiH8C2S4N: optimized geometry, PBE.

Summary:
MP2020-corrected energy   -171.5 eV for the cell shown
E_form   -0.398 eV/atom
Total magnetic moment   0.0 μB/f.u.
Electronic total energy   -166.79 eV per cell

Cell: 6.9284 7.1621 10.9542 Å, 90.00 104.88 90.00°
Space group P2_1 (No. 4)
Inequivalent atoms, fractional coordinates:
Ge 0.2167 0.0000 0.3496 [2 per cell]
Bi 0.2457 0.6034 0.5413 [2 per cell]
H 0.0199 0.5595 0.0503 [2 per cell]
H 0.1147 0.3481 0.0010 [2 per cell]
H 0.1856 0.5671 0.9489 [2 per cell]
H 0.2844 0.6010 0.2036 [2 per cell]
H 0.3347 0.3745 0.1893 [2 per cell]
H 0.3945 0.1366 0.8088 [2 per cell]
H 0.3999 0.9140 0.8831 [2 per cell]
H 0.4954 0.6122 0.0246 [2 per cell]
C 0.1491 0.4940 0.0273 [2 per cell]
C 0.4812 0.0458 0.8832 [2 per cell]
S 0.0118 0.2443 0.3380 [2 per cell]
S 0.0475 0.7354 0.3008 [2 per cell]
S 0.3952 0.9441 0.5508 [2 per cell]
S 0.4278 0.0665 0.2344 [2 per cell]
N 0.3210 0.5034 0.1421 [2 per cell]

Entry 2:
BiH24C6I6N3: optimized geometry, PBE.

Summary:
MP2020-corrected energy   -2243.9 eV for the cell shown
E_form   -0.304 eV/atom
Total magnetic moment   0.0 μB/f.u.
Electronic total energy   -2230.92 eV per cell

Cell: 31.5895 31.5895 9.0063 Å, 90.00 90.00 120.00°
Space group R-3 (No. 148, hexagonal axes)
Inequivalent atoms, fractional coordinates:
Bi 0.0000 0.0000 0.0000 [3 per cell]
Bi 0.0000 0.5000 0.0000 [9 per cell]
H 0.0004 0.2325 0.1475 [18 per cell]
H 0.0067 0.1965 0.7932 [18 per cell]
H 0.0082 0.7788 0.6575 [18 per cell]
H 0.0094 0.1136 0.5953 [18 per cell]
H 0.0108 0.3863 0.5699 [18 per cell]
H 0.0145 0.8479 0.4639 [18 per cell]
H 0.0152 0.4271 0.4242 [18 per cell]
H 0.0177 0.8426 0.0472 [18 per cell]
H 0.0279 0.6371 0.5890 [18 per cell]
H 0.0322 0.1593 0.8522 [18 per cell]
H 0.0357 0.5869 0.3287 [18 per cell]
H 0.0385 0.8287 0.7859 [18 per cell]
H 0.0459 0.9120 0.1990 [18 per cell]
H 0.0484 0.5693 0.4901 [18 per cell]
H 0.0535 0.9131 0.4587 [18 per cell]
H 0.0689 0.8771 0.2527 [18 per cell]
C 0.0008 0.8380 0.1570 [18 per cell]
C 0.0095 0.6062 0.5137 [18 per cell]
C 0.0224 0.8814 0.4062 [18 per cell]
C 0.0255 0.7898 0.7666 [18 per cell]
I 0.0112 0.9233 0.8070 [18 per cell]
I 0.0331 0.6115 0.0259 [18 per cell]
I 0.0703 0.5220 0.7249 [18 per cell]
I 0.0829 0.5167 0.2195 [18 per cell]
N 0.0372 0.8791 0.2505 [18 per cell]
N 0.0470 0.5979 0.4380 [18 per cell]

Entry 3:
Bi2H18C3I9N9: optimized geometry, PBE.

Summary:
MP2020-corrected energy   -814.5 eV for the cell shown
E_form   -0.448 eV/atom
Electronic total energy   -801.53 eV per cell

Cell: 10.8068 14.7327 21.7181 Å, 90.00 90.00 90.00°
Space group Cmcm (No. 63)
Inequivalent atoms, fractional coordinates:
Bi 0.0000 0.2266 0.1504 [8 per cell]
H 0.0806 0.2667 0.5497 [16 per cell]
H 0.0811 0.2670 0.7500 [8 per cell]
H 0.1096 0.0515 0.6218 [16 per cell]
H 0.1103 0.4925 0.2500 [8 per cell]
H 0.1888 0.1415 0.5897 [16 per cell]
H 0.1894 0.4051 0.7500 [8 per cell]
C 0.0000 0.1551 0.5894 [8 per cell]
C 0.0000 0.3931 0.7500 [4 per cell]
I 0.0000 0.0555 0.2500 [4 per cell]
I 0.0000 0.3980 0.0785 [8 per cell]
I 0.1945 0.3131 0.2500 [8 per cell]
I 0.2036 0.1357 0.0795 [16 per cell]
N 0.0000 0.2340 0.5595 [8 per cell]
N 0.0000 0.3023 0.7500 [4 per cell]
N 0.1074 0.1159 0.6052 [16 per cell]
N 0.1072 0.4384 0.7500 [8 per cell]

Entry 4:
KBiH10C4O13: optimized geometry, PBE.

Summary:
MP2020-corrected energy   -1461.8 eV for the cell shown
E_form   -1.468 eV/atom
Total magnetic moment   0.0 μB/f.u.
Electronic total energy   -1390.38 eV per cell

Cell: 8.7268 17.6684 16.1859 Å, 90.00 90.00 90.00°
Space group Fdd2 (No. 43)
Inequivalent atoms, fractional coordinates:
K 0.0000 0.0000 0.0000 [8 per cell]
Bi 0.0000 0.0000 0.4993 [8 per cell]
H 0.0321 0.1413 0.1325 [16 per cell]
H 0.0448 0.3792 0.3545 [16 per cell]
H 0.0752 0.2348 0.0459 [16 per cell]
H 0.0843 0.2260 0.9520 [16 per cell]
H 0.0909 0.4960 0.7082 [16 per cell]
C 0.0424 0.1282 0.6455 [16 per cell]
C 0.0448 0.3683 0.8584 [16 per cell]
O 0.0000 0.0000 0.1720 [8 per cell]
O 0.0238 0.1784 0.7006 [16 per cell]
O 0.0255 0.3180 0.8037 [16 per cell]
O 0.0438 0.2608 0.9940 [16 per cell]
O 0.0600 0.0888 0.3860 [16 per cell]
O 0.0635 0.4149 0.1187 [16 per cell]
O 0.1210 0.4173 0.3693 [16 per cell]